1.
VASP calculation (PBE-GGA) on a relaxed Ge3Au crystal.

Cell lengths 4.1649, 4.1649, 9.0396 Å; angles 90.00, 90.00, 90.00 degrees
Closest atoms and distances in Å follow each position.
Space group I4/mmm (No. 139)
Symmetry-distinct sites (fractional):
Ge (0.0000, 0.0000, 0.0000) [2 per cell]  4 Au 2.95, 8 Ge 3.07
Ge (0.0000, 0.5000, 0.2500) [4 per cell]  8 Ge 2.95-3.07, 4 Au 3.07
Au (0.0000, 0.0000, 0.5000) [2 per cell]  12 Ge 2.95-3.07

## Properties
M_tot: 0.00 μB per atom

---

2.
VASP calculation (PBE-GGA) on a relaxed HoGeAu crystal.

Cell lengths 4.4728, 4.4728, 7.2910 Å; angles 90.00, 90.00, 120.00 degrees
Closest atoms and distances in Å follow each position.
Space group P6_3mc (No. 186)
Symmetry-distinct sites (fractional):
Ho (0.0000, 0.0000, 0.0000) [2 per cell]  3 Ge 2.99, 6 Au 2.99-3.35
Ge (0.3333, 0.6667, 0.2069) [2 per cell]  3 Au 2.66
Au (0.3333, 0.6667, 0.7920) [2 per cell]  3 Ge 2.66

---

3.
VASP calculation (PBE-GGA) on a relaxed HoGeAu crystal.

Cell lengths 6.5207, 6.5207, 6.5207 Å; angles 90.00, 90.00, 90.00 degrees
Closest atoms and distances in Å follow each position.
Space group F-43m (No. 216)
Symmetry-distinct sites (fractional):
Ho (0.0000, 0.0000, 0.0000) [4 per cell]  4 Au 2.82
Ge (0.0000, 0.0000, 0.5000) [4 per cell]  4 Au 2.82
Au (0.2500, 0.2500, 0.2500) [4 per cell]  4 Ge 2.82, 4 Ho 2.82

## Properties
M_tot: 0.00 μB per atom
Piezoelectric modulus e_max: 0.58 C/m2

---

4.
VASP calculation (PBE-GGA) on a relaxed K3Ge4Au crystal.

Cell lengths 6.7118, 12.1758, 6.1953 Å; angles 90.00, 90.00, 90.00 degrees
Closest atoms and distances in Å follow each position.
Space group Pmmn (No. 59, origin choice 2)
Symmetry-distinct sites (fractional):
K (0.2500, 0.0128, 0.1688) [4 per cell]  1 Au 3.32, 4 Ge 3.56-3.61
K (0.2500, 0.2500, 0.5783) [2 per cell]  2 Au 3.43, 4 Ge 3.56-3.78
Ge (0.0426, 0.7500, 0.9423) [4 per cell]  3 Ge 2.58-2.78, 1 Au 2.67
Ge (0.2500, 0.6355, 0.6727) [4 per cell]  3 Ge 2.58-2.79, 1 Au 2.65
Au (0.2500, 0.7500, 0.3092) [2 per cell]  4 Ge 2.65-2.67

---

5.
VASP calculation (PBE-GGA) on a relaxed KGeAuS3 crystal.

Cell lengths 10.7997, 11.4987, 12.1522 Å; angles 90.00, 119.75, 90.00 degrees
Closest atoms and distances in Å follow each position.
Space group P2_1/c (No. 14)
Symmetry-distinct sites (fractional):
K (0.0897, 0.2338, 0.1239) [4 per cell]  5 S 3.31-3.54, 1 Au 3.51
K (0.3824, 0.7338, 0.7106) [4 per cell]  7 S 3.32-3.63
Ge (0.3343, 0.5014, 0.4176) [4 per cell]  4 S 2.23-2.29
Ge (0.3353, 0.0037, 0.4425) [4 per cell]  4 S 2.23-2.30
Au (0.0128, 0.5888, 0.1430) [4 per cell]  2 S 2.32-2.33
Au (0.0152, 0.5813, 0.6804) [4 per cell]  2 S 2.34
S (0.1840, 0.0010, 0.9949) [4 per cell]  1 Ge 2.24, 1 Au 2.34
S (0.2088, 0.6591, 0.8616) [4 per cell]  1 Ge 2.24, 1 Au 2.34
S (0.2135, 0.1658, 0.4254) [4 per cell]  1 Ge 2.23, 1 Au 2.33
S (0.2347, 0.5067, 0.2071) [4 per cell]  1 Ge 2.23, 1 Au 2.32
S (0.4810, 0.0283, 0.3564) [4 per cell]  2 Ge 2.29-2.30
S (0.4995, 0.1456, 0.9887) [4 per cell]  2 Ge 2.29

## Properties
M_tot: 0.00 μB per atom

---

6.
VASP calculation (PBE-GGA) on a relaxed LaGeAu crystal.

Cell lengths 4.5561, 4.5561, 8.1918 Å; angles 90.00, 90.00, 120.00 degrees
Closest atoms and distances in Å follow each position.
Space group P6_3mc (No. 186)
Symmetry-distinct sites (fractional):
La (0.0000, 0.0000, 0.0000) [2 per cell]  6 Ge 3.24-3.43, 6 Au 3.28-3.38
Ge (0.3333, 0.6667, 0.2687) [2 per cell]  3 Au 2.64
Au (0.3333, 0.6667, 0.7400) [2 per cell]  3 Ge 2.64

---

7.
VASP calculation (PBE-GGA) on a relaxed LiGeAu2 crystal.

Cell lengths 6.4686, 6.4686, 6.4686 Å; angles 90.00, 90.00, 90.00 degrees
Closest atoms and distances in Å follow each position.
Space group Fm-3m (No. 225)
Symmetry-distinct sites (fractional):
Li (0.0000, 0.0000, 0.0000) [4 per cell]  8 Au 2.80
Ge (0.0000, 0.0000, 0.5000) [4 per cell]  8 Au 2.80
Au (0.2500, 0.2500, 0.2500) [8 per cell]  4 Ge 2.80, 4 Li 2.80

---

8.
VASP calculation (PBE-GGA) on a relaxed LuGeAu crystal.

Cell lengths 4.4433, 4.4433, 7.1685 Å; angles 90.00, 90.00, 120.00 degrees
Closest atoms and distances in Å follow each position.
Space group P6_3mc (No. 186)
Symmetry-distinct sites (fractional):
Lu (0.0000, 0.0000, 0.0000) [2 per cell]  3 Au 2.94, 3 Ge 2.96
Ge (0.3333, 0.6667, 0.2942) [2 per cell]  4 Au 2.65-2.91, 3 Lu 2.96
Au (0.3333, 0.6667, 0.6999) [2 per cell]  4 Ge 2.65-2.91, 3 Lu 2.94

---

no.,uncorrected energy (eV/f.u.)
1,-16.189
2,-14.944
3,-14.720
4,-27.316
5,-25.089
6,-15.464
7,-14.362
8,-14.751